(1)
Entry from the Materials Project: a relaxed K3P3O10 crystal (PBE-GGA).

- magnetization (μB/f.u.) = 0.4
- formation energy (meV per atom) = -1221
- energy (hartree per atom) = -0.203

Cell lengths 7.020, 18.684, 11.070 Å; angles 90.00, 110.72, 90.00 degrees
Space group P2_1/c (No. 14)
One atom of each set of equivalent atoms:
K 0.094 0.188 0.410
K 0.342 0.680 0.478
K 0.359 0.007 0.760
P 0.106 0.569 0.680
P 0.119 0.056 0.192
P 0.164 0.103 0.007
O 0.031 0.591 0.785
O 0.078 0.587 0.304
O 0.117 0.182 0.012
O 0.267 0.071 0.530
O 0.299 0.594 0.665
O 0.321 0.071 0.296
O 0.329 0.697 0.123
O 0.366 0.077 0.005
O 0.370 0.245 0.794
O 0.485 0.717 0.228

---

(2)
Entry from the Materials Project: a relaxed KPO3 crystal (PBE-GGA).

- magnetization (μB/f.u.) = 0.0
- corrected total energy (MP2020 scheme) (eV/atom) = -6.954
- formation energy (meV per atom) = -2680
- energy (hartree per atom) = -0.240

Cell lengths 16.081, 16.081, 16.081 Å; angles 90.00, 90.00, 90.00 degrees
Space group Pa-3 (No. 205)
One atom of each set of equivalent atoms:
K 0.000 0.000 0.000
K 0.000 0.000 0.500
K 0.059 0.244 0.380
K 0.128 0.128 0.128
K 0.232 0.732 0.768
P 0.046 0.155 0.672
P 0.059 0.726 0.422
O 0.003 0.673 0.476
O 0.012 0.685 0.906
O 0.024 0.638 0.756
O 0.076 0.644 0.087
O 0.092 0.692 0.342
O 0.099 0.225 0.704

---

Question: What is the formation energy in the first record?
Answer: -1221 meV per atom